MgFe6O11F PBE+U optimized geometry; energy relative to the elements = -1.61 eV per atom; density = 4.111 Mg/m³; symmetry = Pm (6); magnetic moment = 27.0 μB per formula unit; MP2020-corrected energy = -139.4 eV/cell; raw total energy = -6.1998 eV/atom
1.0
6.8155 0.0000 0.0000
0.0000 2.9278 0.0000
-2.7871 0.0000 11.2209
Mg Fe O F
1 6 11 1
Direct
0.0000 0.0000 0.0000 Mg
0.0110 0.5000 0.5052 Fe
0.1379 0.0000 0.7975 Fe
0.4401 0.5000 0.2257 Fe
0.5111 0.0000 0.5080 Fe
0.6105 0.5000 0.7931 Fe
0.8815 0.0000 0.2124 Fe
0.0789 0.5000 0.6857 O
0.1455 0.5000 0.9186 O
0.1984 0.0000 0.5072 O
0.4361 0.0000 0.8155 O
0.4592 0.5000 0.3893 O
0.5603 0.5000 0.6213 O
0.5876 0.0000 0.1859 O
0.8063 0.0000 0.8332 O
0.8231 0.0000 0.5035 O
0.8871 0.5000 0.0930 O
0.9463 0.5000 0.3243 O
0.2171 0.0000 0.1711 F


MgFe4O4F4 PBE+U optimized geometry; energy relative to the elements = -2.20 eV per atom; density = 3.728 Mg/m³; symmetry = Pm (6); magnetic moment = 18.0 μB per formula unit; MP2020-corrected energy = -91.5 eV/cell; raw total energy = -5.9921 eV/atom
1.0
6.2382 0.0000 0.0000
0.0000 3.2596 0.0000
-0.0611 0.0000 8.4925
Mg Fe O F
1 4 4 4
Direct
0.0000 0.0000 0.0000 Mg
0.2254 0.5000 0.7312 Fe
0.2609 0.0000 0.3782 Fe
0.6902 0.5000 0.2677 Fe
0.7623 0.0000 0.6262 Fe
0.9998 0.0000 0.7610 O
0.2339 0.5000 0.4922 O
0.5016 0.0000 0.2579 O
0.7490 0.5000 0.5099 O
0.0013 0.0000 0.2406 F
0.2048 0.5000 0.9778 F
0.4830 0.0000 0.7333 F
0.8014 0.5000 0.0355 F


MgFe6O10F2 PBE+U optimized geometry; energy relative to the elements = -1.73 eV per atom; density = 4.214 Mg/m³; symmetry = P1 (1); magnetic moment = 28.0 μB per formula unit; MP2020-corrected energy = -138.5 eV/cell; raw total energy = -6.1676 eV/atom
1.0
5.0992 0.0000 0.0000
0.6660 5.6522 0.0000
0.6720 0.9923 7.6209
Mg Fe O F
1 6 10 2
Direct
0.0000 0.0000 0.0000 Mg
0.4346 0.4921 0.4738 Fe
0.4810 0.1768 0.8135 Fe
0.5257 0.9037 0.1917 Fe
0.9560 0.6430 0.8065 Fe
0.9721 0.0194 0.4797 Fe
0.9975 0.3944 0.1884 Fe
0.1084 0.6484 0.0266 O
0.1710 0.3030 0.3982 O
0.2825 0.4723 0.7180 O
0.2874 0.8169 0.3958 O
0.2989 0.1587 0.0524 O
0.6616 0.2192 0.5845 O
0.6639 0.5680 0.2645 O
0.6749 0.8858 0.9229 O
0.8239 0.0721 0.2390 O
0.8264 0.7387 0.5943 O
0.1621 0.9964 0.7462 F
0.7954 0.3415 0.9107 F


MgFe12O12F12 PBE+U optimized geometry; energy relative to the elements = -2.07 eV per atom; density = 4.203 Mg/m³; symmetry = Pm (6); magnetic moment = 57.6 μB per formula unit; MP2020-corrected energy = -262.3 eV/cell; raw total energy = -5.9841 eV/atom
1.0
9.7158 0.0000 0.0000
0.0000 3.1080 0.0000
-0.6143 0.0000 14.5793
Mg Fe O F
1 12 12 12
Direct
0.0000 0.0000 0.0000 Mg
0.2489 0.0000 0.3157 Fe
0.2546 0.0000 0.6434 Fe
0.2801 0.0000 0.8794 Fe
0.4602 0.5000 0.4833 Fe
0.4650 0.5000 0.1623 Fe
0.5036 0.5000 0.7992 Fe
0.7106 0.0000 0.3116 Fe
0.7237 0.0000 0.9958 Fe
0.7343 0.0000 0.6601 Fe
0.9392 0.5000 0.1748 Fe
0.9559 0.5000 0.8215 Fe
0.9785 0.5000 0.4818 Fe
0.0884 0.0000 0.8777 O
0.3142 0.5000 0.2522 O
0.3390 0.5000 0.5889 O
0.3799 0.0000 0.4226 O
0.3802 0.0000 0.7595 O
0.3796 0.5000 0.9102 O
0.5629 0.0000 0.2215 O
0.6348 0.5000 0.7066 O
0.8135 0.5000 0.2716 O
0.8669 0.5000 0.9384 O
0.8689 0.0000 0.1059 O
0.8826 0.0000 0.7527 O
0.0616 0.0000 0.2343 F
0.0863 0.0000 0.5526 F
0.0887 0.5000 0.0666 F
0.1344 0.5000 0.3836 F
0.1490 0.5000 0.7098 F
0.3756 0.0000 0.0924 F
0.5844 0.0000 0.5466 F
0.6083 0.5000 0.0542 F
0.6087 0.0000 0.8688 F
0.6224 0.5000 0.3913 F
0.8273 0.5000 0.5882 F
0.8631 0.0000 0.4263 F


MgFe4O4F4 PBE+U optimized geometry; energy relative to the elements = -2.10 eV per atom; density = 3.740 Mg/m³; symmetry = P1 (1); magnetic moment = 18.0 μB per formula unit; MP2020-corrected energy = -90.2 eV/cell; raw total energy = -5.8930 eV/atom
1.0
5.1355 0.0000 0.0000
1.0173 5.1904 0.0000
0.1820 0.0633 6.4566
Mg Fe O F
1 4 4 4
Direct
0.0000 0.0000 0.0000 Mg
0.3323 0.2578 0.7319 Fe
0.3683 0.6907 0.4611 Fe
0.7238 0.5633 0.9627 Fe
0.8324 0.2825 0.4447 Fe
0.0821 0.3409 0.9545 O
0.1416 0.4396 0.5067 O
0.5798 0.4896 0.6893 O
0.6064 0.5470 0.2497 O
0.0811 0.9371 0.2873 F
0.1590 0.9194 0.7213 F
0.5714 0.0150 0.5099 F
0.6355 0.9841 0.9401 F


MgFe12O12F12 PBE+U optimized geometry; energy relative to the elements = -2.09 eV per atom; density = 4.265 Mg/m³; symmetry = P1 (1); magnetic moment = 58.0 μB per formula unit; MP2020-corrected energy = -262.8 eV/cell; raw total energy = -5.9992 eV/atom
1.0
3.0756 0.0000 0.0000
-0.0671 9.6363 0.0000
-0.0177 -0.3702 14.6393
Mg Fe O F
1 12 12 12
Direct
0.0000 0.0000 0.0000 Mg
0.0142 0.2615 0.3578 Fe
0.0136 0.2763 0.0032 Fe
0.0157 0.7625 0.6738 Fe
0.0174 0.2543 0.6649 Fe
0.0184 0.7383 0.3456 Fe
0.0467 0.7134 0.0195 Fe
0.5032 0.0095 0.1717 Fe
0.5091 0.0505 0.8247 Fe
0.5134 0.0337 0.5033 Fe
0.5171 0.5164 0.4950 Fe
0.5214 0.5199 0.1839 Fe
0.5308 0.5043 0.8530 Fe
0.0049 0.1019 0.1198 O
0.0112 0.1338 0.7698 O
0.0142 0.1038 0.4380 O
0.0186 0.6156 0.4498 O
0.0232 0.6010 0.1243 O
0.0288 0.4062 0.8977 O
0.4965 0.8718 0.0585 O
0.5076 0.1255 0.9499 O
0.5151 0.1708 0.6036 O
0.5165 0.3587 0.4085 O
0.5172 0.6576 0.2848 O
0.5428 0.6510 0.9491 O
0.0101 0.9076 0.2442 F
0.0098 0.9141 0.8776 F
0.0125 0.9165 0.5646 F
0.0176 0.4037 0.2468 F
0.0178 0.4196 0.5713 F
0.0276 0.6105 0.7796 F
0.5115 0.8800 0.7303 F
0.5119 0.1606 0.2801 F
0.5164 0.3632 0.0876 F
0.5163 0.8593 0.4065 F
0.5196 0.6522 0.6107 F
0.5215 0.3750 0.7268 F


MgFe6O7F5 PBE+U optimized geometry; energy relative to the elements = -2.01 eV per atom; density = 3.978 Mg/m³; symmetry = P1 (1); magnetic moment = 29.0 μB per formula unit; MP2020-corrected energy = -134.8 eV/cell; raw total energy = -6.0055 eV/atom
1.0
5.1842 0.0000 0.0000
0.7476 5.9377 0.0000
0.6740 1.5721 7.6806
Mg Fe O F
1 6 7 5
Direct
0.0000 0.0000 0.0000 Mg
0.0110 0.4873 0.9775 Fe
0.5000 0.9268 0.9522 Fe
0.5511 0.7392 0.3195 Fe
0.5535 0.3706 0.6995 Fe
0.9058 0.2134 0.3503 Fe
0.9370 0.8262 0.6370 Fe
0.2842 0.9003 0.1726 O
0.2885 0.2377 0.8718 O
0.6703 0.4253 0.4480 O
0.7517 0.9225 0.4299 O
0.7636 0.5773 0.7760 O
0.7675 0.0612 0.7813 O
0.7680 0.7464 0.0980 O
0.1537 0.0881 0.5262 F
0.1672 0.3920 0.2148 F
0.2221 0.7784 0.8594 F
0.2657 0.6359 0.5634 F
0.7776 0.2242 0.1127 F


MgFe6O8F4 PBE+U optimized geometry; energy relative to the elements = -1.88 eV per atom; density = 3.850 Mg/m³; symmetry = Cm (8); magnetic moment = 30.0 μB per formula unit; MP2020-corrected energy = -135.3 eV/cell; raw total energy = -6.0236 eV/atom
1.0
4.1322 -3.2682 0.0000
4.1322 3.2682 0.0000
-0.2692 0.0000 8.9952
Mg Fe O F
1 6 8 4
Direct
0.0000 0.0000 0.0000 Mg
0.1146 0.1146 0.5085 Fe
0.2628 0.2628 0.8069 Fe
0.2889 0.2889 0.1532 Fe
0.6658 0.6658 0.0034 Fe
0.7081 0.7081 0.3236 Fe
0.7098 0.7098 0.6290 Fe
0.0063 0.3777 0.9881 O
0.3777 0.0063 0.9881 O
0.3878 0.9974 0.6595 O
0.5109 0.5109 0.1568 O
0.5557 0.5557 0.4742 O
0.8419 0.8419 0.1488 O
0.8869 0.8869 0.4844 O
0.9974 0.3878 0.6595 O
0.0206 0.3785 0.3185 F
0.3785 0.0206 0.3185 F
0.5008 0.5008 0.8271 F
0.8474 0.8474 0.8348 F


MgFe6O10F2 PBE+U optimized geometry; energy relative to the elements = -1.74 eV per atom; density = 4.304 Mg/m³; symmetry = P1 (1); magnetic moment = 28.0 μB per formula unit; MP2020-corrected energy = -138.7 eV/cell; raw total energy = -6.1797 eV/atom
1.0
2.9580 0.0000 0.0000
0.0035 6.7671 0.0000
0.0169 3.1023 10.7427
Mg Fe O F
1 6 10 2
Direct
0.0000 0.0000 0.0000 Mg
0.0051 0.1554 0.2118 Fe
0.0054 0.4753 0.4946 Fe
0.5009 0.3660 0.7905 Fe
0.5044 0.6379 0.1931 Fe
0.5045 0.0074 0.4998 Fe
0.9992 0.8414 0.7914 Fe
0.0019 0.3821 0.6805 O
0.0044 0.6121 0.3102 O
0.0037 0.9568 0.6155 O
0.0050 0.0257 0.3855 O
0.0045 0.6972 0.0781 O
0.4993 0.6502 0.8054 O
0.5001 0.0085 0.8607 O
0.5027 0.0035 0.1403 O
0.5054 0.3031 0.4809 O
0.5052 0.3439 0.1968 O
0.9998 0.3015 0.9310 F
0.5052 0.6800 0.5080 F


MgFe6O10F2 PBE+U optimized geometry; energy relative to the elements = -1.72 eV per atom; density = 4.230 Mg/m³; symmetry = P2/m (10); magnetic moment = 26.0 μB per formula unit; MP2020-corrected energy = -138.4 eV/cell; raw total energy = -6.1630 eV/atom
1.0
6.5676 0.0000 0.0000
0.0000 2.9337 0.0000
-3.1220 0.0000 11.3564
Mg Fe O F
1 6 10 2
Direct
0.0000 0.0000 0.0000 Mg
0.0000 0.5000 0.5000 Fe
0.1648 0.0000 0.8193 Fe
0.3706 0.5000 0.2206 Fe
0.5000 0.0000 0.5000 Fe
0.6294 0.5000 0.7794 Fe
0.8352 0.0000 0.1807 Fe
0.1607 0.0000 0.1796 O
0.1727 0.5000 0.9342 O
0.1893 0.0000 0.5015 O
0.4436 0.5000 0.3895 O
0.4515 0.0000 0.8072 O
0.5485 0.0000 0.1928 O
0.5564 0.5000 0.6105 O
0.8107 0.0000 0.4985 O
0.8273 0.5000 0.0658 O
0.8393 0.0000 0.8204 O
0.0854 0.5000 0.6911 F
0.9146 0.5000 0.3089 F


MgFe6O11F PBE+U optimized geometry; energy relative to the elements = -1.61 eV per atom; density = 4.230 Mg/m³; symmetry = Pm (6); magnetic moment = 27.0 μB per formula unit; MP2020-corrected energy = -139.3 eV/cell; raw total energy = -6.1949 eV/atom
1.0
6.8385 0.0000 0.0000
0.0000 2.9330 0.0000
-3.1952 0.0000 10.8487
Mg Fe O F
1 6 11 1
Direct
0.0000 0.0000 0.0000 Mg
0.1603 0.0000 0.8001 Fe
0.3329 0.5000 0.2050 Fe
0.4920 0.0000 0.5124 Fe
0.6346 0.5000 0.8172 Fe
0.8564 0.0000 0.2148 Fe
0.9912 0.5000 0.5095 Fe
0.0089 0.5000 0.8715 O
0.0321 0.0000 0.6262 O
0.2962 0.0000 0.0916 O
0.3077 0.5000 0.5168 O
0.3473 0.5000 0.8151 O
0.3802 0.0000 0.3194 O
0.6107 0.0000 0.7025 O
0.6730 0.5000 0.5029 O
0.6989 0.0000 0.9334 O
0.9422 0.0000 0.3841 O
0.9924 0.5000 0.1474 O
0.6449 0.5000 0.1944 F


MgFe12O12F12 PBE+U optimized geometry; energy relative to the elements = -2.07 eV per atom; density = 4.253 Mg/m³; symmetry = Pm (6); magnetic moment = 58.0 μB per formula unit; MP2020-corrected energy = -262.3 eV/cell; raw total energy = -5.9852 eV/atom
1.0
9.7097 0.0000 0.0000
0.0000 3.0999 0.0000
-0.5294 0.0000 14.4568
Mg Fe O F
1 12 12 12
Direct
0.0000 0.0000 0.0000 Mg
0.0243 0.0000 0.5254 Fe
0.0299 0.0000 0.1862 Fe
0.0729 0.0000 0.8124 Fe
0.2664 0.5000 0.3380 Fe
0.2692 0.5000 0.0087 Fe
0.2714 0.5000 0.6630 Fe
0.5149 0.0000 0.2031 Fe
0.5334 0.0000 0.8420 Fe
0.5480 0.0000 0.5096 Fe
0.7358 0.5000 0.0533 Fe
0.7532 0.5000 0.3491 Fe
0.7779 0.5000 0.6636 Fe
0.0935 0.5000 0.0986 O
0.1640 0.5000 0.7669 O
0.1701 0.0000 0.2810 O
0.1831 0.0000 0.9461 O
0.1947 0.0000 0.5982 O
0.4194 0.5000 0.2590 O
0.5865 0.5000 0.1256 O
0.6222 0.5000 0.4476 O
0.6795 0.0000 0.6154 O
0.6837 0.0000 0.2840 O
0.8531 0.0000 0.0911 O
0.9330 0.5000 0.5789 O
0.1125 0.5000 0.4426 F
0.3548 0.0000 0.0847 F
0.3600 0.0000 0.4193 F
0.3997 0.0000 0.7302 F
0.4302 0.5000 0.9192 F
0.4393 0.5000 0.5730 F
0.6483 0.5000 0.7825 F
0.6702 0.0000 0.9593 F
0.8753 0.0000 0.4125 F
0.8791 0.0000 0.7432 F
0.9297 0.5000 0.2508 F
0.9309 0.5000 0.9273 F